A relaxed structure of AlCrO3, computed with GGA+U.

Properties
The calculation puts the raw total energy at -73.58 eV/cell. The calculation puts the formation energy at -2.522 eV per atom.

Cell lengths 3.1801, 3.1801, 11.7380 Å; angles 90.00, 90.00, 120.00 degrees
With the nearest neighbours (Å) after each atom.
Space group P6_3/mmc (No. 194)
Asymmetric unit:
1 Al 0.0000 0.0000 0.0000 [2 per cell]  6 O 2.04
2 Cr 0.3333 0.6667 0.2500 [2 per cell]  5 O 1.84-2.04
3 O 0.0000 0.0000 0.2500 [2 per cell]  3 Cr 1.84
4 O 0.3333 0.6667 0.0765 [4 per cell]  1 Cr 2.04, 3 Al 2.04